No. 1
Below is a relaxed MgNiO2 crystal, with properties calculated at the PBE+U level.

Cell: 5.6456 5.6536 5.6456 Å, 31.78 31.82 31.78°
Last column: nearest neighbours and their distance in Å.
Sites, in units of the cell vectors:
Mg 0.3533 0.3620 0.3533  4 O 1.92-2.01
O 0.2372 0.2352 0.2372  1 Mg 1.92, 3 Ni 1.99
O 0.7446 0.7508 0.7446  3 Mg 2.01
Ni 0.5149 0.5145 0.5149  3 O 1.99

Space group: Cm (8)
ρ: 4298 kg/m³
VASP energy: -20.72 eV/cell

=====

No. 2
Below is a relaxed Ba2Ni3O8 crystal, with properties calculated at the PBE+U level.

Cell: 3.9043 3.9043 11.8497 Å, 90.00 90.00 90.00°
Last column: nearest neighbours and their distance in Å.
Sites, in units of the cell vectors:
O 0.0000 0.5000 0.3510  2 Ni 1.95
O 0.5000 0.0000 0.6490  2 Ni 1.95
O 0.5000 0.5000 0.1614  1 Ni 1.91
O 0.0000 0.5000 0.0000  2 Ni 1.95
O 0.5000 0.0000 0.0000  2 Ni 1.95
O 0.0000 0.5000 0.6490  2 Ni 1.95
O 0.5000 0.5000 0.8386  1 Ni 1.91
O 0.5000 0.0000 0.3510  2 Ni 1.95
Ba 0.0000 0.0000 0.1734  12 O 2.76-2.87
Ba 0.0000 0.0000 0.8266  12 O 2.76-2.87
Ni 0.5000 0.5000 0.3480  4 O 1.95
Ni 0.5000 0.5000 0.6520  4 O 1.95
Ni 0.5000 0.5000 0.0000  6 O 1.91-1.95

Space group: P4/mmm (123)
ρ: 5320 kg/m³
VASP energy: -63.97 eV/cell

=====

No. 3
Below is a relaxed MgFe8O8F8 crystal, with properties calculated at the PBE+U level.

Cell: 5.3746 5.3179 11.5825 Å, 89.02 87.62 93.10°
Last column: nearest neighbours and their distance in Å.
Sites, in units of the cell vectors:
F 0.8298 0.1663 0.8785  1 Mg 1.92, 1 Fe 2.12
F 0.2899 0.3392 0.4964  2 Fe 2.00-2.03
F 0.1720 0.8040 0.1270  2 Fe 1.98-2.02
F 0.7038 0.6682 0.2492  2 Fe 2.01-2.02
F 0.8379 0.1512 0.6032  2 Fe 1.98-2.06
F 0.4102 0.2420 0.0020  2 Fe 2.08-2.12, 1 Mg 2.08
F 0.8569 0.1501 0.3700  2 Fe 1.96-2.06
F 0.6064 0.7810 0.7503  1 Mg 2.00, 2 Fe 2.14-2.22
O 0.1790 0.8514 0.8842  3 Fe 1.92-2.14, 1 Mg 2.00
O 0.8794 0.1752 0.1236  3 Fe 1.91-2.00
O 0.6763 0.6709 0.0058  3 Fe 1.90-2.08
O 0.1816 0.8120 0.3656  3 Fe 1.92-1.99
O 0.1438 0.7790 0.6186  3 Fe 1.89-2.02
O 0.3624 0.3190 0.2462  3 Fe 1.92-1.99
O 0.3443 0.3276 0.7541  3 Fe 1.95-2.13, 1 Mg 1.97
O 0.6415 0.6772 0.4961  3 Fe 1.92-1.97
Fe 0.9452 0.9180 0.0082  3 O 1.90-1.96, 2 F 1.98-2.12
Fe 0.6231 0.4115 0.1277  3 O 1.91-1.96, 2 F 2.02-2.08
Fe 0.4120 0.5633 0.6248  3 O 1.89-1.96, 1 F 2.03
Fe 0.9427 0.8903 0.4939  3 O 1.92-1.99, 2 F 1.98-2.06
Fe 0.0976 0.0613 0.2483  3 O 1.92-2.00, 2 F 1.96-2.02
Fe 0.0559 0.0422 0.7350  3 O 2.02-2.14, 2 F 2.06-2.15
Fe 0.4317 0.5683 0.3684  3 O 1.92-1.99, 2 F 2.00-2.01
Fe 0.3990 0.5663 0.8935  3 O 1.98-2.09, 1 F 2.12
Mg 0.4916 0.0641 0.8470  3 F 1.92-2.08, 2 O 1.97-2.00

Space group: P1 (1)
ρ: 3777 kg/m³
VASP energy: -149.00 eV/cell
Polymorph energy (0 for the lowest one): 50.7 meV per atom

=====

No. 4
Below is a relaxed V2Si4O11 crystal, with properties calculated at the PBE+U level.

Cell: 6.9934 7.3798 8.6180 Å, 99.35 101.28 104.85°
Last column: nearest neighbours and their distance in Å.
Sites, in units of the cell vectors:
Si 0.0424 0.7821 0.7767  4 O 1.60-1.68
Si 0.7696 0.6197 0.9773  4 O 1.60-1.65
Si 0.4802 0.7788 0.7792  4 O 1.60-1.69
Si 0.2283 0.0185 0.3961  4 O 1.63-1.66
Si 0.5198 0.2212 0.2208  4 O 1.60-1.69
Si 0.9576 0.2179 0.2233  4 O 1.60-1.68
Si 0.7717 0.9815 0.6039  4 O 1.63-1.66
Si 0.2304 0.3803 0.0227  4 O 1.60-1.65
V 0.1152 0.3768 0.6139  2 O 1.87-2.06
V 0.8848 0.6232 0.3861  2 O 1.87-2.06
V 0.3873 0.6249 0.3852  2 O 1.86-2.03
V 0.6127 0.3751 0.6148  2 O 1.86-2.03
O 0.6955 0.4191 0.8398  1 Si 1.63
O 0.3933 0.0422 0.2851  2 Si 1.63
O 0.6041 0.7413 0.9432  2 Si 1.61-1.65
O 0.1885 0.4075 0.8395  1 Si 1.60
O 0.8203 0.1996 0.5710  1 Si 1.64
O 0.4123 0.5816 0.6267  1 Si 1.69
O 0.9768 0.7556 0.9425  2 Si 1.61-1.65
O 0.8115 0.5925 0.1605  1 Si 1.60
O 0.1797 0.8004 0.4290  1 Si 1.64
O 0.0232 0.2444 0.0575  2 Si 1.61-1.65
O 0.3202 0.2027 0.5552  1 Si 1.66
O 0.3959 0.2587 0.0568  2 Si 1.61-1.65
O 0.9843 0.9581 0.7045  2 Si 1.63-1.64
O 0.3045 0.5809 0.1602  1 Si 1.63
O 0.6798 0.7973 0.4448  1 Si 1.66
O 0.7143 0.1634 0.1848  2 Si 1.60
O 0.0157 0.0419 0.2955  2 Si 1.63-1.64
O 0.2857 0.8366 0.8152  2 Si 1.60
O 0.5877 0.4184 0.3733  1 Si 1.69
O 0.0687 0.4169 0.3731  1 Si 1.68
O 0.9313 0.5831 0.6269  1 Si 1.68
O 0.6067 0.9578 0.7149  2 Si 1.63

Space group: P-1 (2)
ρ: 3154 kg/m³
VASP energy: -267.28 eV/cell
Polymorph energy (0 for the lowest one): 0.0 meV per atom

=====

No. 5
Below is a relaxed BaLaNdMn3O9 crystal, with properties calculated at the PBE+U level.

Cell: 5.6232 5.6232 13.5403 Å, 90.00 90.00 120.00°
Last column: nearest neighbours and their distance in Å.
Sites, in units of the cell vectors:
O 0.4754 0.0000 0.0000  2 Mn 1.98
O 0.4776 0.4776 0.5000  2 Mn 1.98
O 0.7688 0.6569 0.3254  2 Mn 1.99-2.03
O 0.2312 0.8881 0.6746  2 Mn 1.99-2.03
O 0.8881 0.2312 0.3254  2 Mn 1.99-2.03
O 0.1119 0.3431 0.6746  2 Mn 1.99-2.03
O 0.1040 0.7618 0.1729  2 Mn 2.00-2.03
O 0.6569 0.7688 0.6746  2 Mn 1.99-2.03
O 0.5246 0.5246 0.0000  2 Mn 1.98
O 0.3422 0.2382 0.8271  2 Mn 2.00-2.03
O 0.0000 0.5224 0.5000  2 Mn 1.98
O 0.2382 0.3422 0.1729  2 Mn 2.00-2.03
O 0.3431 0.1119 0.3254  2 Mn 1.99-2.03
O 0.6578 0.8960 0.1729  2 Mn 2.00-2.03
O 0.5224 0.0000 0.5000  2 Mn 1.98
O 0.7618 0.1040 0.8271  2 Mn 2.00-2.03
O 0.0000 0.4754 0.0000  2 Mn 1.98
O 0.8960 0.6578 0.8271  2 Mn 2.00-2.03
Mn 0.6667 0.3333 0.4165  6 O 1.98-2.03
Mn 0.0000 0.0000 0.7509  6 O 1.99-2.00
Mn 0.3333 0.6667 0.5835  6 O 1.98-2.03
Mn 0.0000 0.0000 0.2491  6 O 1.99-2.00
Mn 0.3333 0.6667 0.0829  6 O 1.98-2.03
Mn 0.6667 0.3333 0.9171  6 O 1.98-2.03
La 0.6667 0.3333 0.6684  6 O 2.48-2.69
La 0.3333 0.6667 0.3316  6 O 2.48-2.69
Nd 0.6667 0.3333 0.1686  6 O 2.44-2.67
Nd 0.3333 0.6667 0.8314  6 O 2.44-2.67
Ba 0.0000 0.0000 0.0000  12 O 2.67-2.95
Ba 0.0000 0.0000 0.5000  12 O 2.69-2.94

Space group: P321 (150)
ρ: 6532 kg/m³
VASP energy: -228.80 eV/cell

=====

No. 6
Below is a relaxed Li9Mn2Co5O16 crystal, with properties calculated at the PBE+U level.

Cell: 5.0722 5.1088 11.6235 Å, 90.78 91.94 109.56°
Last column: nearest neighbours and their distance in Å.
Sites, in units of the cell vectors:
Li 0.0000 0.0000 0.0000  6 O 2.05-2.15
Li 0.4980 0.4983 0.7542  5 O 2.00-2.21
Li 0.9954 0.4994 0.6232  6 O 2.05-2.15
Li 0.5020 0.5017 0.2458  5 O 2.00-2.21
Li 0.9989 0.5001 0.8841  6 O 2.02-2.22
Li 0.5000 0.5000 0.0000  4 O 2.04-2.14
Li 0.0046 0.5006 0.3768  6 O 2.05-2.15
Li 0.5000 0.5000 0.5000  6 O 2.05-2.23
Li 0.0011 0.4999 0.1159  6 O 2.02-2.22
O 0.2439 0.2142 0.1381  1 Mn 1.89, 1 Co 1.97, 2 Li 2.00-2.05
O 0.2502 0.7821 0.7545  1 Mn 1.96, 2 Co 1.96-2.09, 1 Li 2.15
O 0.2387 0.7682 0.2602  1 Co 1.94, 1 Mn 1.95, 1 Li 2.05
O 0.2510 0.2298 0.8660  1 Mn 1.88, 1 Co 1.99, 1 Li 2.04
O 0.2692 0.7620 0.5047  3 Co 1.91-2.11, 3 Li 2.05-2.14
O 0.7561 0.7858 0.8619  1 Mn 1.89, 1 Co 1.97, 2 Li 2.00-2.05
O 0.7490 0.7702 0.1340  1 Mn 1.88, 1 Co 1.99, 1 Li 2.04
O 0.7613 0.2318 0.7398  1 Co 1.94, 1 Mn 1.95, 1 Li 2.05
O 0.7308 0.2380 0.4953  3 Co 1.91-2.11, 3 Li 2.05-2.14
O 0.7703 0.7770 0.6213  2 Co 1.98-2.05, 1 Mn 1.99, 2 Li 2.09-2.10
O 0.2699 0.7592 0.0095  1 Co 1.85, 2 Li 2.02-2.04
O 0.7301 0.2408 0.9905  1 Co 1.85, 2 Li 2.02-2.04
O 0.2262 0.2189 0.6258  2 Co 1.92-2.06, 1 Mn 2.01, 1 Li 2.13
O 0.7498 0.2179 0.2455  1 Mn 1.96, 2 Co 1.96-2.09, 1 Li 2.15
O 0.7738 0.7811 0.3742  2 Co 1.92-2.06, 1 Mn 2.01, 1 Li 2.13
O 0.2297 0.2230 0.3787  2 Co 1.98-2.05, 1 Mn 1.99, 2 Li 2.09-2.10
Co 0.4981 0.9979 0.1210  4 O 1.85-1.99
Co 0.5019 0.0021 0.8790  4 O 1.85-1.99
Co 0.0000 0.0000 0.5000  6 O 1.92-2.11
Co 0.4997 0.9984 0.6238  6 O 1.91-2.09
Co 0.5003 0.0016 0.3762  6 O 1.91-2.09
Mn 0.9998 0.0026 0.7531  6 O 1.88-2.01
Mn 0.0002 0.9974 0.2469  6 O 1.88-2.01

Space group: P-1 (2)
ρ: 4234 kg/m³
VASP energy: -186.35 eV/cell
Polymorph energy (0 for the lowest one): 31.2 meV per atom

=====

No. 7
Below is a relaxed MgFe4H4O8 crystal, with properties calculated at the PBE+U level.

Cell: 10.8454 3.1455 4.7302 Å, 90.00 92.76 90.00°
Last column: nearest neighbours and their distance in Å.
Sites, in units of the cell vectors:
H 0.6805 0.7500 0.0465  1 O 1.00
H 0.1163 0.7500 0.5048  1 O 1.02
H 0.8723 0.2500 0.4833  1 O 1.02
H 0.3363 0.2500 0.0062  1 O 1.01
O 0.1721 0.7500 0.6847  1 H 1.02
O 0.5494 0.7500 0.3215  1 Mg 1.92, 1 H 1.97, 2 Fe 2.02
O 0.4294 0.2500 0.7420  1 H 1.64
O 0.6946 0.7500 0.8401  1 H 1.00
O 0.2841 0.2500 0.1780  1 H 1.01
O 0.0562 0.7500 0.1864  1 H 1.61
O 0.8172 0.2500 0.3021  1 H 1.02
O 0.9355 0.2500 0.8007  1 H 1.62
Mg 0.5026 0.7500 0.9256  4 O 1.92-2.14, 1 H 1.98
Fe 0.1140 0.2500 0.9525  6 O 2.03-2.13
Fe 0.8850 0.7500 0.0329  5 O 1.96-2.17
Fe 0.6387 0.2500 0.5061  3 O 2.02-2.20
Fe 0.3471 0.7500 0.4589  6 O 2.15-2.32

Space group: Pm (6)
ρ: 3912 kg/m³
VASP energy: -100.21 eV/cell
Polymorph energy (0 for the lowest one): 44.4 meV per atom

=====

No. 8
Below is a relaxed Na4AlFe3O8 crystal, with properties calculated at the PBE+U level.

Cell: 5.4391 5.7561 7.1161 Å, 89.99 89.98 89.91°
Last column: nearest neighbours and their distance in Å.
Sites, in units of the cell vectors:
Al 0.0211 0.0652 0.1260  4 O 1.78-1.79
O 0.4407 0.1146 0.6600  2 Fe 1.91-1.92
O 0.8682 0.4639 0.5934  2 Fe 1.90-1.91
O 0.8651 0.9664 0.9207  1 Al 1.78, 1 Fe 1.90
O 0.9410 0.8858 0.3224  1 Al 1.79, 1 Fe 1.91
O 0.4392 0.6154 0.8430  2 Fe 1.91-1.92
O 0.3683 0.5468 0.4044  2 Fe 1.90-1.91
O 0.9413 0.3631 0.1656  1 Al 1.79, 1 Fe 1.91
O 0.3449 0.0440 0.0910  1 Al 1.78, 1 Fe 1.89
Na 0.0087 0.0819 0.6205  4 O 2.34-2.43
Na 0.5118 0.9203 0.3744  4 O 2.30-2.37
Na 0.5124 0.4104 0.1215  4 O 2.30-2.37
Na 0.0098 0.5837 0.8839  4 O 2.31-2.40
Fe 0.5214 0.4355 0.6265  4 O 1.90-1.91
Fe 0.0212 0.5671 0.3679  4 O 1.90-1.91
Fe 0.5210 0.9360 0.8787  4 O 1.89-1.92

Space group: P1 (1)
ρ: 3089 kg/m³
VASP energy: -94.55 eV/cell

=====

No. 9
Below is a relaxed LiCo5SbO8 crystal, with properties calculated at the PBE+U level.

Cell: 6.3208 5.9594 5.9585 Å, 60.00 61.88 61.96°
Last column: nearest neighbours and their distance in Å.
Sites, in units of the cell vectors:
O 0.2303 0.2641 0.7411  1 Sb 2.05, 3 Co 2.06-2.21
O 0.7697 0.7359 0.7355  1 Sb 2.05, 3 Co 2.06-2.21
O 0.2303 0.2641 0.2645  1 Sb 2.05, 3 Co 2.06-2.21
O 0.7697 0.7359 0.2589  1 Sb 2.05, 3 Co 2.06-2.21
O 0.3167 0.7277 0.7278  4 Co 1.90-1.98
O 0.7686 0.2594 0.7360  1 Sb 2.05, 3 Co 2.06-2.20
O 0.6833 0.2723 0.2722  4 Co 1.90-1.98
O 0.2314 0.7406 0.2640  1 Sb 2.05, 3 Co 2.06-2.20
Li 0.5000 0.0000 0.0000  6 O 2.29-2.30, 2 Co 2.44
Co 0.0405 0.1521 0.1537  4 O 1.90-2.06
Co 0.9595 0.8479 0.8463  4 O 1.90-2.06
Co 0.5000 0.5000 0.5000  6 O 1.98-2.21
Co 0.5000 0.0000 0.5000  6 O 1.98-2.21
Co 0.5000 0.5000 0.0000  6 O 1.98-2.21
Sb 0.0000 0.5000 0.5000  6 O 2.05

Space group: C2/m (12)
ρ: 5611 kg/m³
VASP energy: -89.10 eV/cell
Polymorph energy (0 for the lowest one): 0.0 meV per atom

=====

No. 10
Below is a relaxed Li4Fe5CoO12 crystal, with properties calculated at the PBE+U level.

Cell: 4.9205 4.9293 10.1695 Å, 89.45 88.96 59.94°
Last column: nearest neighbours and their distance in Å.
Sites, in units of the cell vectors:
Co 0.9991 0.0031 0.9991  6 O 1.91-1.95
O 0.1547 0.3547 0.3922  3 Fe 1.92-2.05, 2 Li 1.98-2.05
O 0.1691 0.9974 0.5961  3 Fe 1.90-1.91
O 0.3291 0.0024 0.0951  2 Fe 1.89, 1 Co 1.91
O 0.4925 0.3534 0.6068  3 Fe 1.92-2.05, 2 Li 1.97-2.05
O 0.0019 0.6642 0.0997  2 Fe 1.93-1.95, 1 Co 1.95, 2 Li 2.01-2.12
O 0.6622 0.3426 0.1004  2 Fe 1.94-1.95, 1 Co 1.95, 2 Li 2.01-2.11
O 0.3358 0.6630 0.8987  2 Fe 1.93-1.95, 1 Co 1.95, 2 Li 2.00-2.15
O 0.5117 0.6406 0.3930  3 Fe 1.92-2.06, 2 Li 1.97-2.05
O 0.8477 0.6415 0.6059  3 Fe 1.92-2.05, 2 Li 1.97-2.05
O 0.8379 0.9975 0.4018  3 Fe 1.90-1.91
O 0.9962 0.3412 0.8981  2 Fe 1.93-1.95, 1 Co 1.94, 2 Li 1.99-2.13
O 0.6698 0.0040 0.9026  2 Fe 1.89, 1 Co 1.91
Fe 0.6627 0.6768 0.9988  6 O 1.89-1.95
Fe 0.3361 0.3287 0.9994  6 O 1.89-1.95
Fe 0.1671 0.6675 0.4995  6 O 1.91-1.95
Fe 0.8373 0.3272 0.4994  6 O 1.91-1.95
Fe 0.5024 0.9995 0.4988  6 O 1.90-2.06
Li 0.8488 0.4988 0.2472  4 O 1.98-2.11
Li 0.1509 0.4959 0.7499  4 O 1.97-2.15
Li 0.3445 0.5062 0.2488  4 O 1.97-2.12
Li 0.6483 0.5007 0.7503  4 O 1.97-2.13

Space group: P1 (1)
ρ: 4341 kg/m³
VASP energy: -129.90 eV/cell
Polymorph energy (0 for the lowest one): 96.5 meV per atom

=====

No. 11
Below is a relaxed Ba3FeRu2O9 crystal, with properties calculated at the PBE+U level.

Cell: 5.8026 5.8026 14.2030 Å, 90.00 90.00 120.00°
Last column: nearest neighbours and their distance in Å.
Sites, in units of the cell vectors:
O 0.3251 0.1626 0.4203  1 Fe 1.99, 1 Ru 2.01
O 0.4853 0.9707 0.7465  1 Ru 1.99, 1 Fe 2.11
O 0.0293 0.5147 0.7465  1 Ru 1.99, 1 Fe 2.11
O 0.5147 0.0293 0.2465  1 Ru 1.99, 1 Fe 2.11
O 0.1626 0.8374 0.9203  1 Fe 1.99, 1 Ru 2.01
O 0.9707 0.4853 0.2465  1 Ru 1.99, 1 Fe 2.11
O 0.8374 0.6749 0.4203  1 Fe 1.99, 1 Ru 2.01
O 0.8344 0.1656 0.0800  2 Ru 1.99-2.01
O 0.1626 0.3251 0.9203  1 Fe 1.99, 1 Ru 2.01
O 0.1656 0.8344 0.5800  2 Ru 1.99-2.01
O 0.6749 0.8374 0.9203  1 Fe 1.99, 1 Ru 2.01
O 0.4853 0.5147 0.7465  1 Ru 1.99, 1 Fe 2.11
O 0.1656 0.3312 0.5800  2 Ru 1.99-2.01
O 0.3312 0.1656 0.0800  2 Ru 1.99-2.01
O 0.8374 0.1626 0.4203  1 Fe 1.99, 1 Ru 2.01
O 0.6688 0.8344 0.5800  2 Ru 1.99-2.01
O 0.8344 0.6688 0.0800  2 Ru 1.99-2.01
O 0.5147 0.4853 0.2465  1 Ru 1.99, 1 Fe 2.11
Ba 0.6667 0.3333 0.9059  12 O 2.91-2.99
Ba 0.0000 0.0000 0.7526  12 O 2.89-2.96
Ba 0.0000 0.0000 0.2526  12 O 2.89-2.96
Ba 0.3333 0.6667 0.0928  12 O 2.84-2.99
Ba 0.6667 0.3333 0.5928  12 O 2.84-2.99
Ba 0.3333 0.6667 0.4059  12 O 2.91-2.99
Fe 0.3333 0.6667 0.8489  6 O 1.99-2.11
Fe 0.6667 0.3333 0.3489  6 O 1.99-2.11
Ru 0.0000 0.0000 0.5026  6 O 1.99-2.01
Ru 0.3333 0.6667 0.6569  6 O 1.99-2.01
Ru 0.0000 0.0000 0.0026  6 O 1.99-2.01
Ru 0.6667 0.3333 0.1569  6 O 1.99-2.01

Space group: P6_3mc (186)
ρ: 6527 kg/m³
VASP energy: -204.55 eV/cell
Polymorph energy (0 for the lowest one): 15.6 meV per atom

=====

No. 12
Below is a relaxed V4FeCuO12 crystal, with properties calculated at the PBE+U level.

Cell: 6.7726 6.7762 11.8315 Å, 75.12 104.88 96.13°
Last column: nearest neighbours and their distance in Å.
Sites, in units of the cell vectors:
O 0.6274 0.9064 0.6383  1 V 1.71
O 0.1982 0.9604 0.0828  1 V 1.72
O 0.3735 0.6412 0.2755  2 V 1.78-1.81
O 0.0348 0.8151 0.3076  1 V 1.74
O 0.9067 0.6274 0.6117  1 V 1.71
O 0.9605 0.1984 0.6670  1 V 1.72
O 0.8152 0.0349 0.4424  1 V 1.75
O 0.6315 0.3380 0.2250  2 V 1.78-1.81
O 0.6314 0.3380 0.7250  2 V 1.78-1.81
O 0.6274 0.9064 0.1383  1 V 1.71
O 0.3737 0.6412 0.7756  2 V 1.78-1.81
O 0.3866 0.0802 0.3696  1 V 1.67
O 0.0797 0.3868 0.3804  1 V 1.67
O 0.6414 0.3737 0.4744  2 V 1.78-1.81
O 0.3380 0.6315 0.0249  2 V 1.78-1.81
O 0.3867 0.0802 0.8696  1 V 1.67
O 0.9604 0.1982 0.1671  1 V 1.72
O 0.8151 0.0349 0.9424  1 V 1.75
O 0.6414 0.3736 0.9745  2 V 1.78-1.81
O 0.3380 0.6314 0.5249  2 V 1.78-1.81
O 0.9067 0.6274 0.1118  1 V 1.71
O 0.1983 0.9604 0.5829  1 V 1.72
O 0.0349 0.8152 0.8076  1 V 1.74
O 0.0798 0.3868 0.8804  1 V 1.67
Fe 0.9160 0.9160 0.6251  6 O 1.99-2.07
Fe 0.9159 0.9158 0.1251  6 O 1.99-2.07
Cu 0.0938 0.0941 0.3751  4 O 2.01-2.20
Cu 0.0940 0.0935 0.8756  4 O 2.01-2.19
V 0.2017 0.6158 0.3737  4 O 1.67-1.81
V 0.7897 0.3893 0.1203  4 O 1.71-1.78
V 0.2018 0.6157 0.8737  4 O 1.67-1.81
V 0.3893 0.7895 0.1296  4 O 1.71-1.78
V 0.7897 0.3894 0.6203  4 O 1.71-1.78
V 0.3893 0.7895 0.6296  4 O 1.71-1.78
V 0.6158 0.2019 0.8762  4 O 1.67-1.81
V 0.6157 0.2019 0.3762  4 O 1.67-1.81

ρ: 3377 kg/m³
VASP energy: -257.19 eV/cell